[1]
VASP calculation (PBE-GGA) on a relaxed SmAl2Ge2 crystal.

Results
* space group: P-3m1 (164)
* DFT formation energy: -437 meV per atom
* crystal system: trigonal

Unit cell a=4.3196 b=4.3196 c=6.7417 alpha=90.00 beta=90.00 gamma=120.00
Fractional positions:
Ge  0.6667  0.3333  0.7378
Al  0.6667  0.3333  0.3569
Sm  0.0000  0.0000  0.0000
Ge  0.3333  0.6667  0.2622
Al  0.3333  0.6667  0.6431


[2]
VASP calculation (PBE-GGA) on a relaxed PmMn3 crystal.

Results
* space group: P6_3/mmc (194)
* DFT formation energy: 361 meV per atom
* crystal system: hexagonal

Unit cell a=6.0552 b=6.0552 c=4.6387 alpha=90.00 beta=90.00 gamma=120.00
Fractional positions:
Mn  0.7089  0.8545  0.2500
Mn  0.8545  0.7089  0.7500
Pm  0.3333  0.6667  0.7500
Pm  0.6667  0.3333  0.2500
Mn  0.1455  0.8545  0.2500
Mn  0.2911  0.1455  0.7500
Mn  0.8545  0.1455  0.7500
Mn  0.1455  0.2911  0.2500


[3]
VASP calculation (PBE-GGA) on a relaxed Y2Co17C crystal.

Results
* space group: C2/m (12)
* DFT formation energy: -70 meV per atom
* crystal system: monoclinic

Unit cell a=6.3322 b=6.2788 c=6.3322 alpha=83.44 beta=83.45 gamma=83.44
Fractional positions:
Co  0.5000  0.0000  0.0000
Co  0.0000  0.0000  0.5000
Co  0.2818  0.0000  0.7182
Y  0.3399  0.3543  0.3399
Co  0.0000  0.5000  0.0000
Co  0.7182  0.0000  0.2818
Co  0.1423  0.6504  0.6551
Co  0.0957  0.0979  0.0957
Y  0.6601  0.6457  0.6601
Co  0.2855  0.7129  0.0011
Co  0.6542  0.1467  0.6542
Co  0.7145  0.2871  0.9989
Co  0.9043  0.9021  0.9043
Co  0.8577  0.3496  0.3449
Co  0.9989  0.2871  0.7145
Co  0.0011  0.7129  0.2855
Co  0.6551  0.6504  0.1423
Co  0.3458  0.8533  0.3458
Co  0.3449  0.3496  0.8577
C  0.5000  0.0000  0.5000